1.
DFT (PBE+U) results for an optimized crystal structure of Li4V2SiGeO10.

Cell: 4.559 9.202 9.206 Å, 90.00 90.00 90.00°
Positions (direct):
Li 0.000 0.000 0.000
Li 0.000 0.500 0.000
Li 0.000 0.750 0.254
Li 0.000 0.000 0.500
Li 0.000 0.250 0.254
Li 0.000 0.500 0.500
Li 0.000 0.750 0.746
Li 0.000 0.250 0.746
V 0.590 0.000 0.254
V 0.410 0.500 0.254
V 0.410 0.000 0.746
V 0.590 0.500 0.746
Si 0.500 0.750 0.500
Si 0.500 0.250 0.500
Ge 0.500 0.750 0.000
Ge 0.500 0.250 0.000
O 0.222 0.000 0.251
O 0.735 0.857 0.109
O 0.265 0.643 0.109
O 0.717 0.853 0.400
O 0.265 0.357 0.109
O 0.778 0.500 0.251
O 0.283 0.647 0.400
O 0.283 0.853 0.600
O 0.778 0.000 0.749
O 0.735 0.143 0.109
O 0.717 0.647 0.600
O 0.283 0.353 0.400
O 0.265 0.857 0.891
O 0.717 0.147 0.400
O 0.717 0.353 0.600
O 0.222 0.500 0.749
O 0.735 0.643 0.891
O 0.283 0.147 0.600
O 0.735 0.357 0.891
O 0.265 0.143 0.891

- Formation energy from the elements: -2.5710 eV/atom
- Calculated volume: 193 Å³/f.u.
- SG: Pccm (49)
- Corrected total energy (MP2020 scheme): -7.312 eV/atom


2.
DFT (PBE+U) results for an optimized crystal structure of Na2MgV2Cd2O8.

Cell: 5.807 5.807 7.309 Å, 90.22 89.78 114.86°
Positions (direct):
Na 0.500 0.500 0.000
Na 0.500 0.500 0.500
Mg 0.000 0.000 0.000
V 0.834 0.166 0.753
V 0.166 0.834 0.247
Cd 0.167 0.833 0.700
Cd 0.833 0.167 0.300
O 0.819 0.766 0.229
O 0.234 0.181 0.229
O 0.272 0.728 0.446
O 0.221 0.779 0.014
O 0.728 0.272 0.554
O 0.779 0.221 0.986
O 0.181 0.234 0.771
O 0.766 0.819 0.771

- Formation energy from the elements: -1.8459 eV/atom
- Calculated volume: 224 Å³/f.u.
- SG: C2/m (12)
- Corrected total energy (MP2020 scheme): -6.102 eV/atom
- Polymorph energy (0 for the lowest one): 243 meV/atom


3.
DFT (PBE+U) results for an optimized crystal structure of Fe2P5O16.

Cell: 6.849 5.148 18.979 Å, 89.59 90.00 90.00°
Positions (direct):
Fe 0.183 0.740 0.906
Fe 0.817 0.260 0.094
Fe 0.817 0.740 0.406
Fe 0.183 0.260 0.594
P 0.129 0.234 0.422
P 0.871 0.234 0.922
P 0.463 0.753 0.630
P 0.738 0.000 0.250
P 0.129 0.766 0.078
P 0.537 0.753 0.130
P 0.262 0.000 0.750
P 0.871 0.766 0.578
P 0.537 0.247 0.370
P 0.463 0.247 0.870
O 0.016 0.421 0.888
O 0.213 0.336 0.491
O 0.631 0.955 0.083
O 0.213 0.664 0.009
O 0.149 0.154 0.696
O 0.410 0.196 0.788
O 0.984 0.579 0.112
O 0.787 0.336 0.991
O 0.984 0.421 0.388
O 0.016 0.579 0.612
O 0.149 0.846 0.804
O 0.307 0.212 0.365
O 0.421 0.473 0.614
O 0.631 0.045 0.417
O 0.421 0.527 0.886
O 0.947 0.044 0.572
O 0.053 0.044 0.072
O 0.369 0.045 0.917
O 0.851 0.846 0.304
O 0.590 0.196 0.288
O 0.579 0.527 0.386
O 0.787 0.664 0.509
O 0.851 0.154 0.196
O 0.053 0.956 0.428
O 0.947 0.956 0.928
O 0.410 0.804 0.712
O 0.590 0.804 0.212
O 0.579 0.473 0.114
O 0.307 0.788 0.135
O 0.693 0.212 0.865
O 0.369 0.955 0.583
O 0.693 0.788 0.635

- Formation energy from the elements: -2.3862 eV/atom
- Calculated volume: 335 Å³/f.u.
- SG: P2/c (13)
- Corrected total energy (MP2020 scheme): -7.742 eV/atom


4.
DFT (PBE+U) results for an optimized crystal structure of KAl3Fe2Si2H2O12.

Cell: 5.389 10.528 5.409 Å, 100.42 60.12 94.72°
Positions (direct):
K 0.989 0.000 0.005
Al 0.343 0.500 0.827
Al 0.326 0.231 0.419
Al 0.658 0.768 0.595
Fe 0.662 0.499 0.173
Fe 0.003 0.501 0.500
Si 0.653 0.229 0.748
Si 0.330 0.770 0.248
H 0.049 0.310 0.055
H 0.026 0.691 0.908
O 0.040 0.404 0.097
O 0.026 0.597 0.876
O 0.422 0.171 0.644
O 0.573 0.181 0.051
O 0.563 0.815 0.356
O 0.412 0.830 0.958
O 0.330 0.403 0.498
O 0.633 0.392 0.804
O 0.643 0.597 0.568
O 0.336 0.608 0.166
O 0.976 0.182 0.498
O 0.009 0.818 0.506

- Formation energy from the elements: -2.7292 eV/atom
- Calculated volume: 262 Å³/f.u.
- SG: P1 (1)
- Corrected total energy (MP2020 scheme): -7.561 eV/atom


5.
DFT (PBE+U) results for an optimized crystal structure of V3P2O8.

Cell: 5.319 8.537 7.839 Å, 89.71 88.97 90.06°
Positions (direct):
V 0.001 0.999 0.000
V 0.499 0.500 0.500
V 0.892 0.358 0.114
V 0.108 0.643 0.886
V 0.391 0.144 0.614
V 0.609 0.856 0.386
P 0.037 0.697 0.301
P 0.464 0.197 0.200
P 0.537 0.803 0.800
P 0.963 0.304 0.700
O 0.044 0.584 0.147
O 0.457 0.083 0.355
O 0.543 0.917 0.645
O 0.957 0.417 0.853
O 0.042 0.135 0.760
O 0.457 0.635 0.741
O 0.542 0.365 0.259
O 0.958 0.865 0.241
O 0.205 0.199 0.113
O 0.295 0.699 0.387
O 0.705 0.301 0.614
O 0.795 0.801 0.886
O 0.175 0.353 0.570
O 0.325 0.853 0.929
O 0.676 0.147 0.072
O 0.825 0.646 0.429

- Formation energy from the elements: -2.5159 eV/atom
- Calculated volume: 178 Å³/f.u.
- SG: P1 (1)
- Corrected total energy (MP2020 scheme): -8.490 eV/atom
- Polymorph energy (0 for the lowest one): 39 meV/atom


6.
DFT (PBE+U) results for an optimized crystal structure of Cr2Ge3O12.

Cell: 10.335 10.335 10.335 Å, 109.47 109.47 109.47°
Positions (direct):
Cr 0.500 0.500 0.500
Cr 0.500 0.000 0.500
Cr 0.000 0.500 0.500
Cr 0.500 0.500 0.000
Cr 0.000 0.000 0.500
Cr 0.000 0.500 0.000
Cr 0.500 0.000 0.000
Cr 0.000 0.000 0.000
Ge 0.125 0.750 0.875
Ge 0.875 0.250 0.125
Ge 0.625 0.375 0.250
Ge 0.750 0.875 0.125
Ge 0.875 0.125 0.750
Ge 0.250 0.625 0.375
Ge 0.750 0.375 0.625
Ge 0.250 0.125 0.875
Ge 0.125 0.875 0.250
Ge 0.375 0.625 0.750
Ge 0.625 0.750 0.375
Ge 0.375 0.250 0.625
O 0.413 0.822 0.808
O 0.895 0.409 0.087
O 0.091 0.986 0.678
O 0.514 0.605 0.692
O 0.678 0.087 0.692
O 0.605 0.692 0.514
O 0.605 0.413 0.091
O 0.692 0.514 0.605
O 0.822 0.514 0.409
O 0.986 0.808 0.895
O 0.808 0.895 0.986
O 0.692 0.678 0.087
O 0.413 0.091 0.605
O 0.409 0.822 0.514
O 0.087 0.692 0.678
O 0.091 0.605 0.413
O 0.514 0.409 0.822
O 0.087 0.895 0.409
O 0.986 0.678 0.091
O 0.178 0.486 0.591
O 0.678 0.091 0.986
O 0.808 0.413 0.822
O 0.409 0.087 0.895
O 0.895 0.986 0.808
O 0.587 0.178 0.192
O 0.105 0.591 0.913
O 0.909 0.014 0.322
O 0.486 0.395 0.308
O 0.322 0.913 0.308
O 0.395 0.308 0.486
O 0.395 0.587 0.909
O 0.308 0.486 0.395
O 0.105 0.014 0.192
O 0.591 0.913 0.105
O 0.192 0.587 0.178
O 0.178 0.192 0.587
O 0.322 0.909 0.014
O 0.014 0.322 0.909
O 0.913 0.105 0.591
O 0.486 0.591 0.178
O 0.909 0.395 0.587
O 0.913 0.308 0.322
O 0.591 0.178 0.486
O 0.587 0.909 0.395
O 0.308 0.322 0.913
O 0.192 0.105 0.014
O 0.014 0.192 0.105
O 0.822 0.808 0.413

- Formation energy from the elements: -1.5015 eV/atom
- Calculated volume: 212 Å³/f.u.
- SG: Ia-3d (230)
- Corrected total energy (MP2020 scheme): -6.946 eV/atom


Q: The lowest calculated volume belongs to which entry?
A: V3P2O8


Q: The highest formation energy from the elements belongs to which entry?
A: Cr2Ge3O12


Q: Among the records above, which one has the lowest calculated volume?
A: V3P2O8